This record from the Materials Project describes a relaxed structure of Na7Fe7P6O24F3. The functional is GGA+U.

Results
calculated total energy: -306.75 eV per formula unit
SG: P6_3, No. 173
spin magnetization: 28.0 μB/f.u.
crystal system: hexagonal
ΔH_f (0 K): -2.445 eV per atom

abc: 13.765 13.765 6.797
angles: 90.00 90.00 120.00
Positions (direct):
1 Na 0.060 0.249 0.257
2 Na 0.189 0.940 0.257
3 Na 0.751 0.811 0.257
4 Na 0.940 0.751 0.757
5 Na 0.811 0.060 0.757
6 Na 0.249 0.189 0.757
7 Na 0.333 0.667 0.990
8 Na 0.667 0.333 0.490
9 Na 0.611 0.114 0.259
10 Na 0.503 0.389 0.259
11 Na 0.886 0.497 0.259
12 Na 0.389 0.886 0.759
13 Na 0.497 0.611 0.759
14 Na 0.114 0.503 0.759
15 Fe 0.868 0.293 0.006
16 Fe 0.426 0.132 0.006
17 Fe 0.707 0.574 0.006
18 Fe 0.132 0.707 0.506
19 Fe 0.574 0.868 0.506
20 Fe 0.293 0.426 0.506
21 Fe 0.874 0.292 0.513
22 Fe 0.419 0.126 0.513
23 Fe 0.708 0.581 0.513
24 Fe 0.126 0.708 0.013
25 Fe 0.581 0.874 0.013
26 Fe 0.292 0.419 0.013
27 Fe 0.000 0.000 0.004
28 Fe 0.000 0.000 0.504
29 P 0.817 0.065 0.255
30 P 0.248 0.183 0.255
31 P 0.935 0.752 0.255
32 P 0.183 0.935 0.755
33 P 0.752 0.817 0.755
34 P 0.065 0.248 0.755
35 P 0.509 0.624 0.260
36 P 0.115 0.491 0.260
37 P 0.376 0.885 0.260
38 P 0.491 0.376 0.760
39 P 0.885 0.509 0.760
40 P 0.624 0.115 0.760
41 O 0.444 0.562 0.447
42 O 0.118 0.556 0.447
43 O 0.438 0.882 0.447
44 O 0.556 0.438 0.947
45 O 0.882 0.444 0.947
46 O 0.562 0.118 0.947
47 O 0.851 0.138 0.444
48 O 0.287 0.149 0.444
49 O 0.862 0.713 0.444
50 O 0.149 0.862 0.944
51 O 0.713 0.851 0.944
52 O 0.138 0.287 0.944
53 O 0.295 0.312 0.254
54 O 0.017 0.705 0.254
55 O 0.688 0.983 0.254
56 O 0.705 0.688 0.754
57 O 0.983 0.295 0.754
58 O 0.312 0.017 0.754
59 O 0.210 0.461 0.262
60 O 0.251 0.790 0.262
61 O 0.539 0.749 0.262
62 O 0.790 0.539 0.762
63 O 0.749 0.210 0.762
64 O 0.461 0.251 0.762
65 O 0.886 0.001 0.255
66 O 0.115 0.114 0.255
67 O 0.999 0.885 0.255
68 O 0.114 0.999 0.755
69 O 0.885 0.886 0.755
70 O 0.001 0.115 0.755
71 O 0.853 0.141 0.071
72 O 0.288 0.147 0.071
73 O 0.859 0.712 0.071
74 O 0.147 0.859 0.571
75 O 0.712 0.853 0.571
76 O 0.141 0.288 0.571
77 O 0.998 0.380 0.252
78 O 0.382 0.002 0.252
79 O 0.620 0.618 0.252
80 O 0.002 0.620 0.752
81 O 0.618 0.998 0.752
82 O 0.380 0.382 0.752
83 O 0.567 0.131 0.575
84 O 0.564 0.433 0.575
85 O 0.869 0.436 0.575
86 O 0.433 0.869 0.075
87 O 0.436 0.567 0.075
88 O 0.131 0.564 0.075
89 F 0.769 0.282 0.270
90 F 0.513 0.231 0.270
91 F 0.718 0.487 0.270
92 F 0.231 0.718 0.770
93 F 0.487 0.769 0.770
94 F 0.282 0.513 0.770

This record from the Materials Project describes a relaxed structure of Na5FeP2O8F2. The functional is GGA+U.

Results
calculated total energy: -107.48 eV per formula unit
SG: Pbca, No. 61
spin magnetization: 5.0 μB/f.u.
crystal system: orthorhombic
ΔH_f (0 K): -2.602 eV per atom

abc: 11.787 13.916 22.074
angles: 90.00 90.00 90.00
Positions (direct):
1 Na 0.331 0.752 0.868
2 Na 0.831 0.248 0.632
3 Na 0.669 0.748 0.368
4 Na 0.169 0.252 0.132
5 Na 0.669 0.248 0.132
6 Na 0.169 0.752 0.368
7 Na 0.331 0.252 0.632
8 Na 0.831 0.748 0.868
9 Na 0.339 0.498 0.874
10 Na 0.839 0.502 0.626
11 Na 0.661 0.002 0.374
12 Na 0.161 0.998 0.126
13 Na 0.661 0.502 0.126
14 Na 0.161 0.498 0.374
15 Na 0.339 0.998 0.626
16 Na 0.839 0.002 0.874
17 Na 0.078 0.623 0.874
18 Na 0.578 0.377 0.626
19 Na 0.922 0.877 0.374
20 Na 0.422 0.123 0.126
21 Na 0.922 0.377 0.126
22 Na 0.422 0.623 0.374
23 Na 0.078 0.123 0.626
24 Na 0.578 0.877 0.874
25 Na 0.234 0.872 0.501
26 Na 0.734 0.128 0.999
27 Na 0.766 0.628 0.001
28 Na 0.266 0.372 0.499
29 Na 0.766 0.128 0.499
30 Na 0.266 0.872 0.001
31 Na 0.234 0.372 0.999
32 Na 0.734 0.628 0.501
33 Na 0.331 0.752 0.621
34 Na 0.831 0.248 0.879
35 Na 0.669 0.748 0.121
36 Na 0.169 0.252 0.379
37 Na 0.669 0.248 0.379
38 Na 0.169 0.752 0.121
39 Na 0.331 0.252 0.879
40 Na 0.831 0.748 0.621
41 Na 0.983 0.737 0.502
42 Na 0.483 0.263 0.998
43 Na 0.017 0.763 0.002
44 Na 0.517 0.237 0.498
45 Na 0.017 0.263 0.498
46 Na 0.517 0.737 0.002
47 Na 0.983 0.237 0.998
48 Na 0.483 0.763 0.502
49 Na 0.998 0.749 0.754
50 Na 0.498 0.251 0.746
51 Na 0.002 0.751 0.254
52 Na 0.502 0.249 0.246
53 Na 0.002 0.251 0.246
54 Na 0.502 0.749 0.254
55 Na 0.998 0.249 0.746
56 Na 0.498 0.751 0.754
57 Na 0.335 0.999 0.883
58 Na 0.835 0.001 0.617
59 Na 0.665 0.501 0.383
60 Na 0.165 0.499 0.117
61 Na 0.665 0.001 0.117
62 Na 0.165 0.999 0.383
63 Na 0.335 0.499 0.617
64 Na 0.835 0.501 0.883
65 Na 0.083 0.622 0.617
66 Na 0.583 0.378 0.883
67 Na 0.917 0.878 0.117
68 Na 0.417 0.122 0.383
69 Na 0.917 0.378 0.383
70 Na 0.417 0.622 0.117
71 Na 0.083 0.122 0.883
72 Na 0.583 0.878 0.617
73 Na 0.250 0.886 0.744
74 Na 0.750 0.114 0.756
75 Na 0.750 0.614 0.244
76 Na 0.250 0.386 0.256
77 Na 0.750 0.114 0.256
78 Na 0.250 0.886 0.244
79 Na 0.250 0.386 0.756
80 Na 0.750 0.614 0.744
81 Fe 0.500 0.500 0.000
82 Fe 0.000 0.500 0.500
83 Fe 0.500 0.000 0.500
84 Fe 0.000 0.000 0.000
85 Fe 0.497 0.493 0.750
86 Fe 0.997 0.507 0.750
87 Fe 0.503 0.007 0.250
88 Fe 0.003 0.993 0.250
89 Fe 0.503 0.507 0.250
90 Fe 0.003 0.493 0.250
91 Fe 0.497 0.993 0.750
92 Fe 0.997 0.007 0.750
93 Fe 0.500 0.000 0.000
94 Fe 0.000 0.000 0.500
95 Fe 0.500 0.500 0.500
96 Fe 0.000 0.500 0.000
97 P 0.085 0.880 0.874
98 P 0.585 0.120 0.626
99 P 0.915 0.620 0.374
100 P 0.415 0.380 0.126
101 P 0.915 0.120 0.126
102 P 0.415 0.880 0.374
103 P 0.085 0.380 0.626
104 P 0.585 0.620 0.874
105 P 0.248 0.619 0.990
106 P 0.748 0.381 0.510
107 P 0.752 0.881 0.490
108 P 0.252 0.119 0.010
109 P 0.752 0.381 0.010
110 P 0.252 0.619 0.490
111 P 0.248 0.119 0.510
112 P 0.748 0.881 0.990
113 P 0.253 0.623 0.742
114 P 0.753 0.377 0.758
115 P 0.747 0.877 0.242
116 P 0.247 0.123 0.258
117 P 0.747 0.377 0.258
118 P 0.247 0.623 0.242
119 P 0.253 0.123 0.758
120 P 0.753 0.877 0.742
121 P 0.075 0.878 0.627
122 P 0.575 0.122 0.873
123 P 0.925 0.622 0.127
124 P 0.425 0.378 0.373
125 P 0.925 0.122 0.373
126 P 0.425 0.878 0.127
127 P 0.075 0.378 0.873
128 P 0.575 0.622 0.627
129 O 0.024 0.781 0.607
130 O 0.524 0.219 0.893
131 O 0.976 0.719 0.107
132 O 0.476 0.281 0.393
133 O 0.976 0.219 0.393
134 O 0.476 0.781 0.107
135 O 0.024 0.281 0.893
136 O 0.524 0.719 0.607
137 O 0.029 0.962 0.587
138 O 0.529 0.038 0.913
139 O 0.971 0.538 0.087
140 O 0.471 0.462 0.413
141 O 0.971 0.038 0.413
142 O 0.471 0.962 0.087
143 O 0.029 0.462 0.913
144 O 0.529 0.538 0.587
145 O 0.250 0.619 0.672
146 O 0.750 0.381 0.828
147 O 0.750 0.881 0.172
148 O 0.250 0.119 0.328
149 O 0.750 0.381 0.328
150 O 0.250 0.619 0.172
151 O 0.250 0.119 0.828
152 O 0.750 0.881 0.672
153 O 0.016 0.949 0.916
154 O 0.516 0.051 0.584
155 O 0.984 0.551 0.416
156 O 0.484 0.449 0.084
157 O 0.984 0.051 0.084
158 O 0.484 0.949 0.416
159 O 0.016 0.449 0.584
160 O 0.516 0.551 0.916
161 O 0.339 0.546 0.768
162 O 0.839 0.454 0.732
163 O 0.661 0.954 0.268
164 O 0.161 0.046 0.232
165 O 0.661 0.454 0.232
166 O 0.161 0.546 0.268
167 O 0.339 0.046 0.732
168 O 0.839 0.954 0.768
169 O 0.251 0.626 0.921
170 O 0.751 0.374 0.579
171 O 0.749 0.874 0.421
172 O 0.249 0.126 0.079
173 O 0.749 0.374 0.079
174 O 0.249 0.626 0.421
175 O 0.251 0.126 0.579
176 O 0.751 0.874 0.921
177 O 0.286 0.723 0.765
178 O 0.786 0.277 0.735
179 O 0.714 0.777 0.265
180 O 0.214 0.223 0.235
181 O 0.714 0.277 0.235
182 O 0.214 0.723 0.265
183 O 0.286 0.223 0.735
184 O 0.786 0.777 0.765
185 O 0.133 0.595 0.769
186 O 0.633 0.405 0.731
187 O 0.867 0.905 0.269
188 O 0.367 0.095 0.231
189 O 0.867 0.405 0.231
190 O 0.367 0.595 0.269
191 O 0.133 0.095 0.731
192 O 0.633 0.905 0.769
193 O 0.205 0.878 0.628
194 O 0.705 0.122 0.872
195 O 0.795 0.622 0.128
196 O 0.295 0.378 0.372
197 O 0.795 0.122 0.372
198 O 0.295 0.878 0.128
199 O 0.205 0.378 0.872
200 O 0.705 0.622 0.628
201 O 0.208 0.872 0.896
202 O 0.708 0.128 0.604
203 O 0.792 0.628 0.396
204 O 0.292 0.372 0.104
205 O 0.792 0.128 0.104
206 O 0.292 0.872 0.396
207 O 0.208 0.372 0.604
208 O 0.708 0.628 0.896
209 O 0.031 0.900 0.694
210 O 0.531 0.100 0.806
211 O 0.969 0.600 0.194
212 O 0.469 0.400 0.306
213 O 0.969 0.100 0.306
214 O 0.469 0.900 0.194
215 O 0.031 0.400 0.806
216 O 0.531 0.600 0.694
217 O 0.131 0.592 0.516
218 O 0.631 0.408 0.984
219 O 0.869 0.908 0.016
220 O 0.369 0.092 0.484
221 O 0.869 0.408 0.484
222 O 0.369 0.592 0.016
223 O 0.131 0.092 0.984
224 O 0.631 0.908 0.516
225 O 0.289 0.714 0.520
226 O 0.789 0.286 0.980
227 O 0.711 0.786 0.020
228 O 0.211 0.214 0.480
229 O 0.711 0.286 0.480
230 O 0.211 0.714 0.020
231 O 0.289 0.214 0.980
232 O 0.789 0.786 0.520
233 O 0.025 0.783 0.869
234 O 0.525 0.217 0.631
235 O 0.975 0.717 0.369
236 O 0.475 0.283 0.131
237 O 0.975 0.217 0.131
238 O 0.475 0.783 0.369
239 O 0.025 0.283 0.631
240 O 0.525 0.717 0.869
241 O 0.334 0.536 0.511
242 O 0.834 0.464 0.989
243 O 0.666 0.964 0.011
244 O 0.166 0.036 0.489
245 O 0.666 0.464 0.489
246 O 0.166 0.536 0.011
247 O 0.334 0.036 0.989
248 O 0.834 0.964 0.511
249 O 0.085 0.930 0.809
250 O 0.585 0.070 0.691
251 O 0.915 0.570 0.309
252 O 0.415 0.430 0.191
253 O 0.915 0.070 0.191
254 O 0.415 0.930 0.309
255 O 0.085 0.430 0.691
256 O 0.585 0.570 0.809
257 F 0.445 0.890 0.689
258 F 0.945 0.110 0.811
259 F 0.555 0.610 0.189
260 F 0.055 0.390 0.311
261 F 0.555 0.110 0.311
262 F 0.055 0.890 0.189
263 F 0.445 0.390 0.811
264 F 0.945 0.610 0.689
265 F 0.420 0.905 0.811
266 F 0.920 0.095 0.689
267 F 0.580 0.595 0.311
268 F 0.080 0.405 0.189
269 F 0.580 0.095 0.189
270 F 0.080 0.905 0.311
271 F 0.420 0.405 0.689
272 F 0.920 0.595 0.811
273 F 0.452 0.874 0.964
274 F 0.952 0.126 0.536
275 F 0.548 0.626 0.464
276 F 0.048 0.374 0.036
277 F 0.548 0.126 0.036
278 F 0.048 0.874 0.464
279 F 0.452 0.374 0.536
280 F 0.952 0.626 0.964
281 F 0.406 0.900 0.541
282 F 0.906 0.100 0.959
283 F 0.594 0.600 0.041
284 F 0.094 0.400 0.459
285 F 0.594 0.100 0.459
286 F 0.094 0.900 0.041
287 F 0.406 0.400 0.959
288 F 0.906 0.600 0.541

Number 1: total energy after the MP2020 corrections -7.243 eV/atom. Number 2: total energy after the MP2020 corrections -6.453 eV/atom.